Compound: MgTi6N4O6
Source: Materials Project
Functional: PBE
Structure: relaxed

Structure (extended XYZ):
```
17
Lattice="9.985 0.000 0.000 0.000 1.935 4.960 0.000 -1.935 4.960" Properties=species:S:1:pos:R:3 pbc="T T T"
Mg 0.000 0.000 0.000
Ti 0.000 0.000 7.065
Ti 2.115 0.000 3.574
Ti 2.983 0.000 6.459
Ti 4.992 0.000 2.993
Ti 7.002 0.000 6.459
Ti 7.870 0.000 3.574
N 1.590 0.000 8.258
N 3.258 0.000 1.930
N 6.727 0.000 1.930
N 8.395 0.000 8.258
O 0.000 0.000 2.058
O 1.260 0.000 5.432
O 3.703 0.000 4.569
O 4.992 0.000 7.484
O 6.281 0.000 4.569
O 8.725 0.000 5.432
```

Computed properties:
polymorph energy (0 for the lowest one) = 0.00 eV/f.u.
E_form = -2.4783 eV per atom
spin magnetization = 0.0 μB per formula unit
corrected total energy (MP2020 scheme) = -0.3332 hartree per atom

---

Compound: MgTi6N4O6
Source: Materials Project
Functional: PBE
Structure: relaxed

Structure (extended XYZ):
```
17
Lattice="5.084 -1.893 0.000 5.084 1.893 0.000 -0.001 0.000 10.156" Properties=species:S:1:pos:R:3 pbc="T T T"
Mg 0.000 0.000 0.000
Ti 2.866 0.000 9.806
Ti 3.641 0.000 2.659
Ti 3.646 0.000 6.697
Ti 6.242 0.000 7.767
Ti 6.656 0.000 1.930
Ti 6.954 0.000 4.796
N 1.490 0.000 8.458
N 1.854 0.000 1.384
N 5.374 0.000 6.076
N 8.269 0.000 3.156
O 2.427 0.000 5.032
O 4.437 0.000 8.528
O 4.706 0.000 0.989
O 5.545 0.000 3.466
O 8.074 0.000 6.766
O 8.136 0.000 9.969
```

Computed properties:
polymorph energy (0 for the lowest one) = 0.28 eV/f.u.
E_form = -2.4620 eV per atom
spin magnetization = 0.0 μB per formula unit
corrected total energy (MP2020 scheme) = -0.3326 hartree per atom

---

Compound: MgTi6N4O6
Source: Materials Project
Functional: PBE
Structure: relaxed

Structure (extended XYZ):
```
17
Lattice="4.864 -1.974 0.000 4.864 1.974 0.000 -0.042 0.000 9.907" Properties=species:S:1:pos:R:3 pbc="T T T"
Mg 0.000 0.000 0.000
Ti 2.800 0.000 4.819
Ti 3.402 0.000 1.927
Ti 3.433 0.000 7.801
Ti 6.264 0.000 3.069
Ti 6.338 0.000 6.720
Ti 6.837 0.000 9.822
N 1.815 0.000 3.070
N 7.103 0.000 4.921
N 7.933 0.000 8.177
N 8.070 0.000 1.479
O 1.646 0.000 6.679
O 2.014 0.000 9.833
O 4.343 0.000 6.195
O 4.369 0.000 3.595
O 5.184 0.000 8.636
O 5.281 0.000 1.189
```

Computed properties:
polymorph energy (0 for the lowest one) = 0.02 eV/f.u.
E_form = -2.4769 eV per atom
spin magnetization = 0.0 μB per formula unit
corrected total energy (MP2020 scheme) = -0.3332 hartree per atom